Arrangement 1

# Li5Ni3O5F3

Li5Ni3O5F3 after structural relaxation (PBE+U, Materials Project).

a b c (Å): 5.599 5.756 5.983
angles (deg): 118.67 117.37 90.36
Positions (direct):
Li: 0.000 0.000 0.000
Li: 0.001 0.480 0.009
Li: 0.505 0.994 0.499
Li: 0.512 0.486 0.001
Li: 0.994 0.004 0.477
Ni: 0.004 0.495 0.496
Ni: 0.510 0.000 0.998
Ni: 0.523 0.479 0.531
O: 0.246 0.710 0.494
O: 0.265 0.253 0.533
O: 0.738 0.736 0.456
O: 0.751 0.248 0.991
O: 0.762 0.279 0.500
F: 0.235 0.753 0.968
F: 0.282 0.217 0.064
F: 0.726 0.770 0.933

Computed properties:
Crystal system: triclinic

Arrangement 2

# Li5Ni3O5F3

Li5Ni3O5F3 after structural relaxation (PBE+U, Materials Project).

a b c (Å): 5.599 5.756 5.983
angles (deg): 118.67 117.37 90.36
Positions (direct):
Li: 0.000 0.000 0.000
Li: 0.001 0.489 0.009
Li: 0.505 0.493 0.499
Li: 0.512 0.487 0.001
Li: 0.994 0.481 0.477
Ni: 0.004 0.991 0.496
Ni: 0.510 0.998 0.998
Ni: 0.523 0.010 0.531
O: 0.246 0.204 0.494
O: 0.265 0.786 0.533
O: 0.738 0.192 0.456
O: 0.751 0.239 0.991
O: 0.762 0.779 0.500
F: 0.235 0.722 0.968
F: 0.282 0.281 0.064
F: 0.726 0.704 0.933

Computed properties:
Crystal system: triclinic

Verdict on stability: arrangement 2 comes out on top.

Arrangement 1

# Li3Ni5OF11

Li3Ni5OF11 after structural relaxation (PBE+U, Materials Project).

a b c (Å): 5.128 5.490 8.895
angles (deg): 74.28 89.70 62.87
Positions (direct):
Li: 0.000 0.000 0.000
Li: 0.067 0.871 0.355
Li: 0.582 0.852 0.866
Ni: 0.272 0.464 0.754
Ni: 0.301 0.402 0.096
Ni: 0.531 0.990 0.498
Ni: 0.762 0.451 0.260
Ni: 0.806 0.372 0.595
O: 0.772 0.176 0.454
F: 0.233 0.178 0.297
F: 0.257 0.184 0.645
F: 0.257 0.187 0.954
F: 0.313 0.679 0.893
F: 0.316 0.682 0.202
F: 0.362 0.680 0.555
F: 0.715 0.182 0.801
F: 0.744 0.189 0.140
F: 0.819 0.677 0.396
F: 0.824 0.672 0.706
F: 0.858 0.666 0.059

Computed properties:
Crystal system: triclinic

Arrangement 2

# Li3Ni5OF11

Li3Ni5OF11 after structural relaxation (PBE+U, Materials Project).

a b c (Å): 5.104 5.492 8.905
angles (deg): 73.73 89.44 63.07
Positions (direct):
Li: 0.000 0.000 0.000
Li: 0.225 0.260 0.733
Li: 0.758 0.732 0.242
Ni: 0.062 0.215 0.351
Ni: 0.303 0.481 0.093
Ni: 0.541 0.459 0.504
Ni: 0.559 0.743 0.853
Ni: 0.838 0.977 0.597
O: 0.960 0.223 0.543
F: 0.004 0.562 0.898
F: 0.017 0.866 0.201
F: 0.084 0.309 0.152
F: 0.089 0.615 0.457
F: 0.117 0.959 0.802
F: 0.482 0.709 0.048
F: 0.511 0.056 0.396
F: 0.515 0.384 0.711
F: 0.571 0.125 0.962
F: 0.587 0.817 0.649
F: 0.603 0.471 0.294

Computed properties:
Crystal system: triclinic

Verdict on stability: arrangement 1 comes out on top.

Arrangement 1

# Li3Ni5OF11

Li3Ni5OF11 after structural relaxation (PBE+U, Materials Project).

a b c (Å): 5.104 5.492 8.905
angles (deg): 73.73 89.43 63.07
Positions (direct):
Li: 0.000 0.000 0.000
Li: 0.225 0.527 0.733
Li: 0.758 0.490 0.242
Ni: 0.062 0.863 0.351
Ni: 0.303 0.388 0.093
Ni: 0.541 0.955 0.504
Ni: 0.559 0.891 0.853
Ni: 0.838 0.380 0.597
O: 0.960 0.679 0.543
F: 0.004 0.664 0.898
F: 0.017 0.665 0.201
F: 0.084 0.158 0.152
F: 0.089 0.158 0.457
F: 0.117 0.158 0.802
F: 0.482 0.660 0.048
F: 0.511 0.660 0.396
F: 0.515 0.673 0.711
F: 0.571 0.163 0.962
F: 0.587 0.168 0.649
F: 0.603 0.177 0.294

Computed properties:
Crystal system: triclinic

Arrangement 2

# Li3Ni5OF11

Li3Ni5OF11 after structural relaxation (PBE+U, Materials Project).

a b c (Å): 5.128 5.490 8.895
angles (deg): 74.28 89.70 62.87
Positions (direct):
Li: 0.000 0.000 0.000
Li: 0.067 0.225 0.355
Li: 0.582 0.718 0.866
Ni: 0.272 0.218 0.754
Ni: 0.301 0.498 0.096
Ni: 0.531 0.488 0.498
Ni: 0.762 0.711 0.260
Ni: 0.806 0.967 0.595
O: 0.772 0.630 0.454
F: 0.233 0.476 0.297
F: 0.257 0.141 0.954
F: 0.257 0.829 0.645
F: 0.313 0.572 0.893
F: 0.316 0.884 0.202
F: 0.362 0.235 0.555
F: 0.715 0.983 0.801
F: 0.744 0.328 0.140
F: 0.819 0.073 0.396
F: 0.824 0.378 0.706
F: 0.858 0.725 0.059

Computed properties:
Crystal system: triclinic

Verdict on stability: arrangement 1 comes out on top.

Arrangement 1

# Li6NiOF6

Li6NiOF6 after structural relaxation (PBE+U, Materials Project).

a b c (Å): 7.173 7.174 10.656
angles (deg): 102.74 90.66 67.70
Positions (direct):
F: 0.356 0.431 0.149
Li: 0.358 0.925 0.134
F: 0.429 0.214 0.570
Li: 0.858 0.425 0.134
Li: 0.463 0.612 0.298
F: 0.894 0.819 0.851
Li: 0.608 0.175 0.134
F: 0.144 0.069 0.851
F: 0.071 0.286 0.430
Li: 0.787 0.638 0.702
F: 0.321 0.536 0.430
O: 0.750 0.250 0.000
F: 0.536 0.890 0.708
F: 0.394 0.319 0.851
F: 0.036 0.390 0.708
O: 0.000 0.500 0.000
F: 0.287 0.640 0.708
F: 0.821 0.036 0.430
F: 0.679 0.464 0.570
F: 0.856 0.931 0.149
Li: 0.322 0.035 0.426
Li: 0.713 0.862 0.298
F: 0.179 0.964 0.570
F: 0.106 0.181 0.149
O: 0.500 0.000 0.000
Li: 0.392 0.825 0.866
Li: 0.428 0.715 0.574
Li: 0.178 0.465 0.574
F: 0.214 0.860 0.292
Ni: 0.500 0.500 0.000
Li: 0.213 0.362 0.298
Li: 0.928 0.215 0.574
F: 0.606 0.681 0.149
Li: 0.037 0.888 0.702
F: 0.787 0.140 0.708
Li: 0.537 0.388 0.702
Li: 0.642 0.075 0.866
Ni: 0.000 0.000 0.000
Li: 0.822 0.535 0.426
F: 0.644 0.569 0.851
Ni: 0.250 0.250 0.000
F: 0.571 0.786 0.430
Li: 0.287 0.138 0.702
F: 0.964 0.610 0.292
O: 0.250 0.750 0.000
F: 0.464 0.110 0.292
F: 0.929 0.714 0.570
F: 0.714 0.360 0.292
Li: 0.108 0.675 0.134
Li: 0.963 0.112 0.298
Li: 0.072 0.785 0.426
Li: 0.142 0.575 0.866
Li: 0.572 0.285 0.426
Li: 0.892 0.325 0.866
Li: 0.678 0.965 0.574
Ni: 0.750 0.750 0.000

Arrangement 2

# Li6NiOF6

Li6NiOF6 after structural relaxation (PBE+U, Materials Project).

a b c (Å): 2.903 14.596 5.807
angles (deg): 95.71 90.00 84.29
Positions (direct):
O: 0.500 0.000 0.250
Li: 0.145 0.710 0.428
F: 0.356 0.289 0.322
Li: 0.427 0.145 0.786
Li: 0.573 0.855 0.714
F: 0.785 0.430 0.607
F: 0.925 0.150 0.037
Li: 0.855 0.290 0.572
Li: 0.715 0.571 0.643
F: 0.785 0.430 0.107
Li: 0.145 0.710 0.928
F: 0.215 0.570 0.893
F: 0.925 0.150 0.537
F: 0.075 0.850 0.963
Li: 0.855 0.290 0.072
O: 0.500 0.000 0.750
Li: 0.285 0.429 0.857
F: 0.356 0.289 0.822
Ni: 0.000 0.000 0.500
Li: 0.427 0.145 0.286
F: 0.644 0.711 0.678
F: 0.215 0.570 0.393
F: 0.075 0.850 0.463
Li: 0.715 0.571 0.143
Li: 0.285 0.429 0.357
Li: 0.573 0.855 0.214
Ni: 0.000 0.000 0.000
F: 0.644 0.711 0.178

Verdict on stability: arrangement 2 comes out on top.

Arrangement 1

# LiNiPO4F

LiNiPO4F after structural relaxation (PBE+U, Materials Project).

a b c (Å): 5.203 5.321 7.249
angles (deg): 109.03 105.94 98.65
Positions (direct):
Li: 0.072 0.434 0.302
Li: 0.928 0.566 0.698
Ni: 0.000 0.000 0.500
Ni: 0.500 0.500 0.000
P: 0.448 0.116 0.262
P: 0.552 0.884 0.738
O: 0.233 0.782 0.622
O: 0.300 0.168 0.424
O: 0.349 0.816 0.106
O: 0.351 0.315 0.155
O: 0.649 0.685 0.845
O: 0.651 0.184 0.894
O: 0.700 0.832 0.576
O: 0.767 0.218 0.378
F: 0.132 0.331 0.766
F: 0.868 0.669 0.234

Computed properties:
Crystal system: triclinic

Arrangement 2

# LiNiPO4F

LiNiPO4F after structural relaxation (PBE+U, Materials Project).

a b c (Å): 10.919 6.305 11.153
angles (deg): 90.00 90.24 90.00
Positions (direct):
Li: 0.000 0.000 0.000
Li: 0.008 0.272 0.275
Li: 0.008 0.728 0.275
Li: 0.219 0.000 0.701
Li: 0.504 0.000 0.356
Li: 0.530 0.500 0.865
Li: 0.723 0.000 0.668
Li: 0.795 0.500 0.202
Ni: 0.263 0.254 0.435
Ni: 0.263 0.746 0.435
Ni: 0.266 0.253 0.939
Ni: 0.266 0.747 0.939
Ni: 0.767 0.249 0.936
Ni: 0.767 0.751 0.936
Ni: 0.769 0.251 0.435
Ni: 0.769 0.749 0.435
P: 0.005 0.500 0.016
P: 0.023 0.000 0.505
P: 0.230 0.000 0.183
P: 0.298 0.500 0.693
P: 0.508 0.500 0.360
P: 0.525 0.000 0.862
P: 0.742 0.000 0.193
P: 0.795 0.500 0.681
O: 0.051 0.000 0.639
O: 0.080 0.195 0.441
O: 0.080 0.805 0.441
O: 0.090 0.000 0.183
O: 0.142 0.500 0.978
O: 0.251 0.298 0.757
O: 0.251 0.702 0.757
O: 0.256 0.500 0.560
O: 0.283 0.000 0.313
O: 0.288 0.187 0.113
O: 0.288 0.813 0.113
O: 0.387 0.000 0.894
O: 0.439 0.500 0.705
O: 0.448 0.295 0.406
O: 0.448 0.705 0.406
O: 0.491 0.500 0.222
O: 0.549 0.000 0.726
O: 0.585 0.205 0.911
O: 0.585 0.795 0.911
O: 0.603 0.000 0.205
O: 0.646 0.500 0.393
O: 0.746 0.500 0.811
O: 0.751 0.298 0.615
O: 0.751 0.702 0.615
O: 0.785 0.000 0.059
O: 0.799 0.200 0.254
O: 0.799 0.800 0.254
O: 0.884 0.000 0.476
O: 0.937 0.500 0.675
O: 0.947 0.296 0.963
O: 0.947 0.704 0.963
O: 0.990 0.500 0.154
F: 0.152 0.000 0.919
F: 0.218 0.500 0.327
F: 0.297 0.000 0.545
F: 0.380 0.500 0.949
F: 0.653 0.000 0.453
F: 0.730 0.500 0.046
F: 0.801 0.000 0.825
F: 0.884 0.500 0.400

Computed properties:
Crystal system: monoclinic

Verdict on stability: arrangement 2 comes out on top.

Arrangement 1

# Li2PWO4F

Li2PWO4F after structural relaxation (PBE+U, Materials Project).

a b c (Å): 5.281 6.031 7.650
angles (deg): 73.95 76.35 83.19
Positions (direct):
Li: 0.000 0.000 0.000
Li: 0.110 0.111 0.545
Li: 0.243 0.680 0.809
Li: 0.568 0.118 0.246
P: 0.059 0.429 0.147
P: 0.781 0.772 0.587
W: 0.424 0.549 0.383
W: 0.496 0.249 0.761
O: 0.080 0.714 0.536
O: 0.116 0.684 0.085
O: 0.150 0.323 0.975
O: 0.224 0.302 0.300
O: 0.642 0.582 0.754
O: 0.644 0.813 0.420
O: 0.767 0.007 0.638
O: 0.767 0.382 0.231
F: 0.236 0.000 0.764
F: 0.644 0.058 0.015

Computed properties:
Crystal system: triclinic

Arrangement 2

# Li2PWO4F

Li2PWO4F after structural relaxation (PBE+U, Materials Project).

a b c (Å): 5.528 5.625 7.816
angles (deg): 107.20 104.32 97.40
Positions (direct):
Li: 0.000 0.000 0.000
Li: 0.035 0.887 0.634
Li: 0.359 0.323 0.005
Li: 0.801 0.433 0.327
P: 0.202 0.216 0.399
P: 0.874 0.490 0.949
W: 0.515 0.847 0.676
W: 0.543 0.857 0.179
O: 0.163 0.584 0.065
O: 0.205 0.497 0.502
O: 0.258 0.061 0.531
O: 0.384 0.195 0.271
O: 0.705 0.516 0.088
O: 0.802 0.656 0.829
O: 0.835 0.200 0.841
O: 0.923 0.105 0.255
F: 0.272 0.987 0.868
F: 0.728 0.716 0.476

Computed properties:
Crystal system: triclinic

Verdict on stability: arrangement 1 comes out on top.